1.
Entry from Materials Project: a relaxed Ti2TcNi crystal (PBE).

Unit cell a=4.3121 b=4.3121 c=4.3121 alpha=60.00 beta=60.00 gamma=60.00
Closest atoms and distances in Å follow each position.
Fractional coordinates of all 4 atoms:
Ti 0.2500 0.2500 0.2500  4 Tc 2.64, 4 Ni 2.64
Ti 0.7500 0.7500 0.7500  4 Tc 2.64, 4 Ni 2.64
Tc 0.0000 0.0000 0.0000  8 Ti 2.64
Ni 0.5000 0.5000 0.5000  8 Ti 2.64

=====

2.
Entry from Materials Project: a relaxed Er2Fe2Si2C crystal (PBE).

Unit cell a=5.6031 b=5.6031 c=6.6790 alpha=53.47 beta=53.47 gamma=40.80
Closest atoms and distances in Å follow each position.
Fractional coordinates of all 7 atoms:
Er 0.4406 0.4406 0.2927  2 C 2.55
Er 0.5594 0.5594 0.7073  2 C 2.55
Fe 0.7979 0.7979 0.0970  1 C 1.78
Fe 0.2021 0.2021 0.9030  1 C 1.78
Si 0.8406 0.8406 0.7128  3 Fe 2.28-2.31
Si 0.1594 0.1594 0.2872  3 Fe 2.28-2.31
C 0.0000 0.0000 0.0000  2 Fe 1.78

=====

3.
Entry from Materials Project: a relaxed Zr5Sn3B crystal (PBE).

Unit cell a=8.5782 b=8.5782 c=5.8373 alpha=90.00 beta=90.00 gamma=120.00
Closest atoms and distances in Å follow each position.
Fractional coordinates of all 18 atoms:
Zr 0.6667 0.3333 0.0000  2 Zr 2.92, 6 Sn 3.00
Zr 0.3333 0.6667 0.0000  2 Zr 2.92, 6 Sn 3.00
Zr 0.3333 0.6667 0.5000  2 Zr 2.92, 6 Sn 3.00
Zr 0.6667 0.3333 0.5000  2 Zr 2.92, 6 Sn 3.00
Zr 0.7701 0.7701 0.7500  2 B 2.45
Zr 0.2299 0.0000 0.7500  2 B 2.45
Zr 0.0000 0.2299 0.7500  2 B 2.45
Zr 0.2299 0.2299 0.2500  2 B 2.45
Zr 0.7701 0.0000 0.2500  2 B 2.45
Zr 0.0000 0.7701 0.2500  2 B 2.45
Sn 0.3979 0.3979 0.7500  9 Zr 2.97-3.26
Sn 0.6021 0.0000 0.7500  9 Zr 2.97-3.26
Sn 0.0000 0.6021 0.7500  9 Zr 2.97-3.26
Sn 0.6021 0.6021 0.2500  9 Zr 2.97-3.26
Sn 0.3979 0.0000 0.2500  9 Zr 2.97-3.26
Sn 0.0000 0.3979 0.2500  9 Zr 2.97-3.26
B 0.0000 0.0000 0.0000  6 Zr 2.45
B 0.0000 0.0000 0.5000  6 Zr 2.45

=====

no.,ΔE_f (eV/atom)
1,-0.4798
2,-0.7004
3,-0.6708